VASP calculation (PBE) on a relaxed HoCuGe crystal.

Properties
ΔH_f (0 K) = -0.68 eV per atom
space-group type = No. 194

POSCAR file:
```
HoCuGe
1.0
-2.668 2.108 2.497
-1.290 -1.388 -3.770
-2.143 -6.346 3.069
Ho Cu Ge
2 2 2
Cartesian
-1.071 -3.173 1.534
0.000 0.000 0.000
-2.285 -1.809 -0.913
-3.815 -3.816 2.710
-3.356 -4.982 0.621
-2.744 -0.643 1.176
```